! KHgSb, relaxed, DFT meta-GGA r2SCAN; values from VASP
&SYSTEM
  ibrav = 0, nat = 6, ntyp = 3
/
ATOMIC_SPECIES
K 39.10 K.upf
Hg 200.59 Hg.upf
Sb 121.76 Sb.upf
CELL_PARAMETERS angstrom
4.8436 0.0000 0.0000
-2.4218 4.1947 0.0000
0.0000 0.0000 10.2677
ATOMIC_POSITIONS crystal
K 0.0000 0.0000 0.0000
K 0.0000 0.0000 0.5000
Hg 0.3333 0.6667 0.2500
Hg 0.6667 0.3333 0.7500
Sb 0.3333 0.6667 0.7500
Sb 0.6667 0.3333 0.2500
! DFT formation energy: -0.455 eV per atom
! space-group type: P6_3/mmc, No. 194
! final energy: -27.485 eV/atom